! PBE Zn11C2N10, optimized geometry; values from VASP
&SYSTEM
  ibrav = 0, nat = 46, ntyp = 3
/
ATOMIC_SPECIES
Zn 65.41 Zn.upf
C 12.01 C.upf
N 14.01 N.upf
CELL_PARAMETERS angstrom
13.130 0.000 0.000
0.000 13.130 0.000
0.000 0.000 3.105
ATOMIC_POSITIONS crystal
Zn 0.000 0.000 0.000
Zn 0.006 0.211 0.500
Zn 0.092 0.610 0.500
Zn 0.110 0.408 0.000
Zn 0.163 0.837 0.000
Zn 0.211 0.006 0.500
Zn 0.289 0.506 0.000
Zn 0.337 0.337 0.500
Zn 0.390 0.908 0.500
Zn 0.408 0.110 0.000
Zn 0.494 0.711 0.000
Zn 0.500 0.500 0.500
Zn 0.506 0.289 0.000
Zn 0.592 0.890 0.000
Zn 0.610 0.092 0.500
Zn 0.663 0.663 0.500
Zn 0.711 0.494 0.000
Zn 0.789 0.994 0.500
Zn 0.837 0.163 0.000
Zn 0.890 0.592 0.000
Zn 0.908 0.390 0.500
Zn 0.994 0.789 0.500
C 0.195 0.195 0.000
C 0.305 0.695 0.500
C 0.695 0.305 0.500
C 0.805 0.805 0.000
N 0.013 0.679 0.000
N 0.084 0.916 0.500
N 0.128 0.128 0.000
N 0.179 0.487 0.500
N 0.239 0.761 0.500
N 0.261 0.261 0.000
N 0.321 0.987 0.000
N 0.372 0.628 0.500
N 0.416 0.416 0.000
N 0.487 0.179 0.500
N 0.513 0.821 0.500
N 0.584 0.584 0.000
N 0.628 0.372 0.500
N 0.679 0.013 0.000
N 0.739 0.739 0.000
N 0.761 0.239 0.500
N 0.821 0.513 0.500
N 0.872 0.872 0.000
N 0.916 0.084 0.500
N 0.987 0.321 0.000
! total energy = -4.837 eV per atom
! energy of formation = 0.036 eV/atom
! magnetization = 0.0 μB per formula unit

***

! PBE NaC, optimized geometry; values from VASP
&SYSTEM
  ibrav = 0, nat = 8, ntyp = 2
/
ATOMIC_SPECIES
Na 22.99 Na.upf
C 12.01 C.upf
CELL_PARAMETERS angstrom
4.176 0.000 0.000
0.000 5.434 0.000
0.000 0.000 6.377
ATOMIC_POSITIONS crystal
Na 0.000 0.000 0.245
Na 0.000 0.000 0.755
Na 0.500 0.500 0.255
Na 0.500 0.500 0.745
C 0.000 0.384 0.000
C 0.000 0.616 0.000
C 0.500 0.116 0.500
C 0.500 0.884 0.500
! total energy = -5.044 eV per atom
! energy of formation = 0.232 eV/atom
! magnetization = 0.0 μB per formula unit

***

! PBE NaC, optimized geometry; values from VASP
&SYSTEM
  ibrav = 0, nat = 16, ntyp = 2
/
ATOMIC_SPECIES
Na 22.99 Na.upf
C 12.01 C.upf
CELL_PARAMETERS angstrom
-3.393 3.393 6.315
3.393 -3.393 6.315
3.393 3.393 -6.315
ATOMIC_POSITIONS crystal
Na 0.061 0.250 0.311
Na 0.250 0.439 0.189
Na 0.250 0.939 0.689
Na 0.439 0.750 0.189
Na 0.561 0.250 0.811
Na 0.750 0.061 0.311
Na 0.750 0.561 0.811
Na 0.939 0.750 0.689
C 0.059 0.441 0.750
C 0.191 0.309 0.750
C 0.309 0.059 0.118
C 0.441 0.191 0.382
C 0.559 0.809 0.618
C 0.691 0.941 0.882
C 0.809 0.691 0.250
C 0.941 0.559 0.250
! total energy = -5.044 eV per atom
! energy of formation = 0.231 eV/atom
! magnetization = 0.0 μB per formula unit

***

! PBE Na2C, optimized geometry; values from VASP
&SYSTEM
  ibrav = 0, nat = 12, ntyp = 2
/
ATOMIC_SPECIES
Na 22.99 Na.upf
C 12.01 C.upf
CELL_PARAMETERS angstrom
6.228 0.000 0.000
0.000 6.228 0.000
0.000 0.000 6.228
ATOMIC_POSITIONS crystal
Na 0.250 0.250 0.250
Na 0.250 0.250 0.750
Na 0.250 0.750 0.250
Na 0.250 0.750 0.750
Na 0.750 0.250 0.250
Na 0.750 0.250 0.750
Na 0.750 0.750 0.250
Na 0.750 0.750 0.750
C 0.000 0.000 0.000
C 0.000 0.500 0.500
C 0.500 0.000 0.500
C 0.500 0.500 0.000
! total energy = -2.684 eV per atom
! energy of formation = 1.274 eV/atom
! magnetization = 2.0 μB per formula unit

***

! PBE NaC2, optimized geometry; values from VASP
&SYSTEM
  ibrav = 0, nat = 12, ntyp = 2
/
ATOMIC_SPECIES
Na 22.99 Na.upf
C 12.01 C.upf
CELL_PARAMETERS angstrom
4.622 0.000 0.000
0.000 4.622 0.000
0.000 0.000 4.622
ATOMIC_POSITIONS crystal
Na 0.125 0.125 0.125
Na 0.375 0.875 0.625
Na 0.625 0.375 0.875
Na 0.875 0.625 0.375
C 0.101 0.601 0.899
C 0.149 0.351 0.649
C 0.351 0.649 0.149
C 0.399 0.399 0.399
C 0.601 0.899 0.101
C 0.649 0.149 0.351
C 0.851 0.851 0.851
C 0.899 0.101 0.601
! total energy = -5.453 eV per atom
! energy of formation = 1.141 eV/atom
! magnetization = 0.0 μB per formula unit

***

! PBE NaC2, optimized geometry; values from VASP
&SYSTEM
  ibrav = 0, nat = 6, ntyp = 2
/
ATOMIC_SPECIES
Na 22.99 Na.upf
C 12.01 C.upf
CELL_PARAMETERS angstrom
4.122 0.000 0.000
0.000 4.884 0.000
0.000 0.000 5.213
ATOMIC_POSITIONS crystal
Na 0.000 0.000 0.000
Na 0.500 0.500 0.500
C 0.000 0.129 0.500
C 0.000 0.871 0.500
C 0.500 0.371 0.000
C 0.500 0.629 0.000
! total energy = -5.201 eV per atom
! energy of formation = 1.392 eV/atom
! magnetization = 1.0 μB per formula unit

***

! PBE NaNdC4O11, optimized geometry; values from VASP
&SYSTEM
  ibrav = 0, nat = 68, ntyp = 4
/
ATOMIC_SPECIES
Na 22.99 Na.upf
Nd 144.24 Nd.upf
C 12.01 C.upf
O 16.00 O.upf
CELL_PARAMETERS angstrom
12.859 0.000 0.000
0.000 7.521 0.000
-2.374 0.000 9.896
ATOMIC_POSITIONS crystal
Na 0.205 0.223 0.113
Na 0.205 0.777 0.613
Na 0.795 0.223 0.387
Na 0.795 0.777 0.887
Nd 0.250 0.272 0.740
Nd 0.250 0.728 0.240
Nd 0.750 0.272 0.760
Nd 0.750 0.728 0.260
C 0.015 0.292 0.829
C 0.015 0.708 0.329
C 0.227 0.132 0.425
C 0.227 0.868 0.925
C 0.233 0.339 0.415
C 0.233 0.661 0.915
C 0.500 0.169 0.750
C 0.500 0.376 0.750
C 0.500 0.624 0.250
C 0.500 0.831 0.250
C 0.767 0.339 0.085
C 0.767 0.661 0.585
C 0.773 0.132 0.075
C 0.773 0.868 0.575
C 0.985 0.292 0.671
C 0.985 0.708 0.171
O 0.005 0.151 0.191
O 0.005 0.849 0.691
O 0.060 0.298 0.612
O 0.060 0.702 0.112
O 0.115 0.281 0.885
O 0.115 0.719 0.385
O 0.219 0.409 0.299
O 0.219 0.591 0.799
O 0.225 0.042 0.319
O 0.225 0.958 0.819
O 0.226 0.071 0.541
O 0.226 0.929 0.041
O 0.252 0.422 0.527
O 0.252 0.578 0.027
O 0.383 0.253 0.022
O 0.383 0.747 0.522
O 0.414 0.093 0.759
O 0.414 0.907 0.259
O 0.417 0.451 0.771
O 0.417 0.549 0.271
O 0.480 0.243 0.071
O 0.480 0.757 0.571
O 0.520 0.243 0.429
O 0.520 0.757 0.929
O 0.583 0.451 0.729
O 0.583 0.549 0.229
O 0.586 0.093 0.741
O 0.586 0.907 0.241
O 0.617 0.253 0.478
O 0.617 0.747 0.978
O 0.748 0.422 0.973
O 0.748 0.578 0.473
O 0.774 0.071 0.959
O 0.774 0.929 0.459
O 0.775 0.042 0.181
O 0.775 0.958 0.681
O 0.781 0.409 0.201
O 0.781 0.591 0.701
O 0.885 0.281 0.615
O 0.885 0.719 0.115
O 0.940 0.298 0.888
O 0.940 0.702 0.388
O 0.995 0.151 0.309
O 0.995 0.849 0.809
! total energy = -7.137 eV per atom
! energy of formation = -1.510 eV/atom
! magnetization = 3.0 μB per formula unit

***

! PBE NaNdC2O6, optimized geometry; values from VASP
&SYSTEM
  ibrav = 0, nat = 20, ntyp = 4
/
ATOMIC_SPECIES
Na 22.99 Na.upf
Nd 144.24 Nd.upf
C 12.01 C.upf
O 16.00 O.upf
CELL_PARAMETERS angstrom
5.170 0.000 0.000
0.000 6.410 0.000
0.000 0.000 7.153
ATOMIC_POSITIONS crystal
Na 0.000 0.018 0.000
Na 0.000 0.982 0.500
Nd 0.500 0.370 0.300
Nd 0.500 0.630 0.800
C 0.000 0.464 0.971
C 0.000 0.536 0.471
C 0.500 0.080 0.715
C 0.500 0.920 0.215
O 0.000 0.358 0.387
O 0.000 0.642 0.887
O 0.221 0.375 0.007
O 0.221 0.625 0.507
O 0.287 0.016 0.252
O 0.287 0.984 0.752
O 0.500 0.265 0.637
O 0.500 0.735 0.137
O 0.713 0.016 0.252
O 0.713 0.984 0.752
O 0.779 0.375 0.007
O 0.779 0.625 0.507
! total energy = -7.537 eV per atom
! energy of formation = -2.526 eV/atom
! magnetization = 0.0 μB per formula unit

***

! PBE Na2NdPCO7, optimized geometry; values from VASP
&SYSTEM
  ibrav = 0, nat = 24, ntyp = 5
/
ATOMIC_SPECIES
Na 22.99 Na.upf
Nd 144.24 Nd.upf
P 30.97 P.upf
C 12.01 C.upf
O 16.00 O.upf
CELL_PARAMETERS angstrom
5.224 0.000 0.000
0.000 7.152 0.000
-0.190 0.000 9.451
ATOMIC_POSITIONS crystal
Na 0.229 0.006 0.207
Na 0.229 0.494 0.207
Na 0.771 0.506 0.793
Na 0.771 0.994 0.793
Nd 0.241 0.250 0.623
Nd 0.759 0.750 0.377
P 0.290 0.750 0.588
P 0.710 0.250 0.412
C 0.268 0.250 0.925
C 0.732 0.750 0.075
O 0.044 0.250 0.860
O 0.167 0.573 0.650
O 0.167 0.927 0.650
O 0.246 0.750 0.422
O 0.297 0.250 0.058
O 0.414 0.250 0.388
O 0.468 0.250 0.840
O 0.532 0.750 0.160
O 0.586 0.750 0.612
O 0.703 0.750 0.942
O 0.754 0.250 0.578
O 0.833 0.073 0.350
O 0.833 0.427 0.350
O 0.956 0.750 0.140
! total energy = -7.057 eV per atom
! energy of formation = -2.733 eV/atom
! magnetization = 0.0 μB per formula unit

***

! PBE Na4CO4, optimized geometry; values from VASP
&SYSTEM
  ibrav = 0, nat = 9, ntyp = 3
/
ATOMIC_SPECIES
Na 22.99 Na.upf
C 12.01 C.upf
O 16.00 O.upf
CELL_PARAMETERS angstrom
3.186 -3.441 0.000
3.186 3.441 0.000
-0.472 0.000 5.069
ATOMIC_POSITIONS crystal
Na 0.000 0.000 0.000
Na 0.504 0.922 0.403
Na 0.559 0.559 0.875
Na 0.922 0.504 0.403
C 0.225 0.225 0.648
O 0.025 0.025 0.480
O 0.073 0.413 0.813
O 0.394 0.394 0.471
O 0.413 0.073 0.813
! total energy = -5.065 eV per atom
! energy of formation = -1.558 eV/atom
! magnetization = 0.0 μB per formula unit

***

! PBE NaC2O2, optimized geometry; values from VASP
&SYSTEM
  ibrav = 0, nat = 20, ntyp = 3
/
ATOMIC_SPECIES
Na 22.99 Na.upf
C 12.01 C.upf
O 16.00 O.upf
CELL_PARAMETERS angstrom
3.562 0.000 0.000
0.000 6.906 0.000
-0.392 0.000 10.464
ATOMIC_POSITIONS crystal
Na 0.206 0.058 0.349
Na 0.206 0.442 0.849
Na 0.794 0.558 0.151
Na 0.794 0.942 0.651
C 0.393 0.641 0.501
C 0.393 0.859 0.001
C 0.402 0.017 0.905
C 0.402 0.483 0.405
C 0.598 0.517 0.595
C 0.598 0.983 0.095
C 0.607 0.141 0.999
C 0.607 0.359 0.499
O 0.269 0.688 0.006
O 0.269 0.812 0.506
O 0.287 0.045 0.791
O 0.287 0.455 0.291
O 0.713 0.545 0.709
O 0.713 0.955 0.209
O 0.731 0.188 0.494
O 0.731 0.312 0.994
! total energy = -6.944 eV per atom
! energy of formation = -1.284 eV/atom
! magnetization = 0.0 μB per formula unit

***

! PBE Na3C2O6, optimized geometry; values from VASP
&SYSTEM
  ibrav = 0, nat = 22, ntyp = 3
/
ATOMIC_SPECIES
Na 22.99 Na.upf
C 12.01 C.upf
O 16.00 O.upf
CELL_PARAMETERS angstrom
10.212 -1.853 0.000
10.212 1.853 0.000
-1.945 0.000 9.481
ATOMIC_POSITIONS crystal
Na 0.023 0.682 0.071
Na 0.236 0.764 0.750
Na 0.318 0.977 0.429
Na 0.682 0.023 0.571
Na 0.764 0.236 0.250
Na 0.977 0.318 0.929
C 0.169 0.635 0.399
C 0.365 0.831 0.101
C 0.635 0.169 0.899
C 0.831 0.365 0.601
O 0.090 0.792 0.512
O 0.201 0.483 0.412
O 0.202 0.640 0.280
O 0.208 0.910 0.988
O 0.360 0.798 0.220
O 0.483 0.201 0.912
O 0.517 0.799 0.088
O 0.640 0.202 0.780
O 0.792 0.090 0.012
O 0.798 0.360 0.720
O 0.799 0.517 0.588
O 0.910 0.208 0.488
! total energy = -6.244 eV per atom
! energy of formation = -1.881 eV/atom
! magnetization = 1.0 μB per formula unit